## TlCrTe2 (GGA-PBE)

Data for an optimized crystal structure of TlCrTe2.

abc: 4.1214 4.1214 7.9601
angles: 90.00 90.00 120.00
Closest atoms and distances in Å follow each position.
Sites, in units of the cell vectors:
1 Tl 0.0000 0.0000 0.0000  6 Te 3.49
2 Cr 0.0000 0.0000 0.5000  6 Te 2.78
3 Te 0.3333 0.6667 0.3201  3 Cr 2.78
4 Te 0.6667 0.3333 0.6799  3 Cr 2.78

Computed properties:
E_form (eV/atom): -0.468
Raw total energy (eV per formula unit): -19.33